This record from the Materials Project describes an optimized crystal structure of Sm3TaO7. The functional is meta-GGA r2SCAN.

energy of formation from the pure elements = -3.65 eV per atom
crystal system = orthorhombic

Cell lengths 10.8197, 7.4175, 7.5882 Å; angles 90.00, 90.00, 90.00 degrees
Space group Cmcm (No. 63)
Symmetry-distinct sites (fractional):
Sm (0.0000, 0.0000, 0.0000) (multiplicity 4)
Sm (0.2273, 0.2945, 0.2500) (multiplicity 8)
Ta (0.0000, 0.5000, 0.0000) (multiplicity 4)
O (0.0000, 0.4254, 0.2500) (multiplicity 4)
O (0.1274, 0.3110, 0.5362) (multiplicity 16)
O (0.1314, 0.0235, 0.2500) (multiplicity 8)

=====

This record from the Materials Project describes an optimized crystal structure of Sm3TaO7. The functional is meta-GGA r2SCAN.

energy of formation from the pure elements = -3.67 eV per atom
crystal system = orthorhombic

Cell lengths 7.6545, 10.7210, 7.5793 Å; angles 90.00, 90.00, 90.00 degrees
Space group C222_1 (No. 20)
Symmetry-distinct sites (fractional):
Sm (0.0316, 0.0000, 0.0000) (multiplicity 4)
Sm (0.2328, 0.2683, 0.7586) (multiplicity 8)
Ta (0.0014, 0.5000, 0.0000) (multiplicity 4)
O (0.0000, 0.1293, 0.2500) (multiplicity 4)
O (0.0000, 0.1376, 0.7500) (multiplicity 4)
O (0.0000, 0.4379, 0.7500) (multiplicity 4)
O (0.1772, 0.3735, 0.0413) (multiplicity 8)
O (0.2014, 0.3786, 0.4768) (multiplicity 8)

=====

This record from the Materials Project describes an optimized crystal structure of Sm3TaO7. The functional is meta-GGA r2SCAN.

energy of formation from the pure elements = -3.66 eV per atom
crystal system = orthorhombic

Cell lengths 7.5535, 10.7248, 7.6127 Å; angles 90.00, 90.00, 90.00 degrees
Space group Cmcm (No. 63)
Symmetry-distinct sites (fractional):
Sm (0.0000, 0.0000, 0.0000) (multiplicity 4)
Sm (0.2326, 0.2678, 0.2500) (multiplicity 8)
Ta (0.0000, 0.5000, 0.0000) (multiplicity 4)
O (0.0000, 0.1296, 0.7500) (multiplicity 4)
O (0.0000, 0.1354, 0.2500) (multiplicity 4)
O (0.0000, 0.4390, 0.2500) (multiplicity 4)
O (0.1935, 0.3770, 0.5307) (multiplicity 16)

=====

Number 1: spin magnetization 0.000 Bohr magnetons per cell, calculated volume 13.841 Å³ per atom, E above lowest polymorph 11 meV per atom. Number 2: spin magnetization 0.000 Bohr magnetons per cell, calculated volume 14.136 Å³ per atom, E above lowest polymorph 0 meV per atom. Number 3: spin magnetization 0.000 Bohr magnetons per cell, calculated volume 14.016 Å³ per atom, E above lowest polymorph 3 meV per atom.